Record 1
Ba2NiN2 | GGA-PBE | relaxed

Cell: 4.145 4.137 7.047 Å, 107.07 107.10 90.00°
Sites, in units of the cell vectors:
Ba1 0.145 0.145 0.789
Ba2 0.855 0.855 0.211
Ni1 0.500 0.500 0.500
N1 0.637 0.637 0.774
N2 0.363 0.363 0.226

* corrected total energy (MP2020 scheme): -5.7250 eV per atom
* crystal system: tetragonal

Record 2
Gd3Zn | GGA-PBE | relaxed

Cell: 4.821 4.821 4.821 Å, 90.00 90.00 90.00°
Sites, in units of the cell vectors:
Gd1 0.500 0.000 0.500
Gd2 0.500 0.500 0.000
Gd3 0.000 0.500 0.500
Zn1 0.000 0.000 0.000

* crystal system: cubic

Record 3
Sm8MgTi4O20 | GGA-PBE | relaxed

Cell: 7.875 3.646 16.172 Å, 90.00 87.37 90.00°
Sites, in units of the cell vectors:
O1 0.129 0.750 0.979
O2 0.731 0.250 0.186
O3 0.374 0.250 0.949
O4 0.101 0.750 0.649
O5 0.854 0.250 0.018
O6 0.405 0.250 0.673
O7 0.599 0.750 0.344
O8 0.240 0.750 0.814
O9 0.753 0.750 0.685
O10 0.137 0.750 0.454
O11 0.916 0.250 0.344
O12 0.583 0.750 0.853
O13 0.606 0.750 0.046
O14 0.660 0.750 0.524
O15 0.393 0.250 0.138
O16 0.889 0.250 0.833
O17 0.920 0.250 0.537
O18 0.095 0.750 0.167
O19 0.388 0.250 0.481
O20 0.279 0.250 0.323
Ti1 0.879 0.750 0.585
Ti2 0.636 0.250 0.083
Ti3 0.347 0.750 0.911
Ti4 0.100 0.250 0.423
Sm1 0.139 0.250 0.063
Sm2 0.376 0.750 0.586
Sm3 0.681 0.250 0.439
Sm4 0.122 0.250 0.742
Sm5 0.851 0.750 0.255
Sm6 0.840 0.750 0.929
Sm7 0.354 0.750 0.222
Sm8 0.632 0.250 0.764
Mg1 0.371 0.750 0.400

* corrected total energy (MP2020 scheme): -8.7390 eV per atom
* crystal system: monoclinic
* energy above the lowest structure with this stoichiometry: 23 meV per atom

Record 4
MgTi3 | GGA-PBE | relaxed

Cell: 2.958 2.958 9.724 Å, 90.00 90.00 120.00°
Sites, in units of the cell vectors:
Ti1 0.667 0.333 0.000
Ti2 0.000 0.000 0.233
Ti3 0.000 0.000 0.767
Mg1 0.667 0.333 0.500

* crystal system: hexagonal

Record 5
HoCoC | GGA-PBE | relaxed

Cell: 3.524 3.533 3.601 Å, 90.00 90.00 90.00°
Sites, in units of the cell vectors:
Co1 0.500 0.500 0.500
C1 0.500 0.500 0.000
Ho1 0.000 0.000 0.000

* crystal system: tetragonal
* energy above the lowest structure with this stoichiometry: 59 meV per atom

Record 6
CaAgN | GGA-PBE | relaxed

Cell: 4.144 4.144 4.200 Å, 90.00 90.00 120.00°
Sites, in units of the cell vectors:
Ag1 0.667 0.333 0.000
N1 0.667 0.333 0.500
Ca1 0.000 0.000 0.500

* corrected total energy (MP2020 scheme): -4.6692 eV per atom
* crystal system: hexagonal

Record-wise energy relative to the elements values, in kJ/mol of atoms: -45.0, -6.7, -346.5, 8.5, -26.0, -26.8